No. 1
Here is a relaxed Eu2TiO5 crystal from the Materials Project database. Energies are from PBE.

Lattice parameters (Å, degrees): 3.8007 10.7031 11.4947 90.00 90.00 90.00
Last column: nearest neighbours and their distance in Å.
Sites, in units of the cell vectors:
O1 0.2500 0.5188 0.8414  1 Ti 1.78
O2 0.2500 0.7677 0.3824  2 Ti 1.98
O3 0.7500 0.7734 0.5401  1 Ti 1.94
O4 0.7500 0.2734 0.9599  1 Ti 1.94
O5 0.7500 0.7323 0.8824  2 Ti 1.98
O6 0.7500 0.9812 0.3414  1 Ti 1.78
O7 0.2500 0.4932 0.3971  4 Eu 2.38-2.42
O8 0.7500 0.2323 0.6176  2 Ti 1.98
O9 0.2500 0.2635 0.7691  1 Ti 1.90
O10 0.7500 0.4812 0.1586  1 Ti 1.78
O11 0.7500 0.5068 0.6029  4 Eu 2.38-2.42
O12 0.7500 0.2365 0.2691  1 Ti 1.90
O13 0.7500 0.0068 0.8971  4 Eu 2.38-2.42
O14 0.2500 0.7635 0.7309  1 Ti 1.90
O15 0.7500 0.7365 0.2309  1 Ti 1.90
O16 0.2500 0.9932 0.1029  4 Eu 2.38-2.42
O17 0.2500 0.2266 0.4599  1 Ti 1.94
O18 0.2500 0.0188 0.6586  1 Ti 1.78
O19 0.2500 0.7266 0.0401  1 Ti 1.94
O20 0.2500 0.2677 0.1176  2 Ti 1.98
Eu1 0.2500 0.6080 0.2198  7 O 2.35-2.53
Eu2 0.2500 0.1080 0.2802  7 O 2.35-2.53
Eu3 0.7500 0.8920 0.7198  7 O 2.35-2.53
Eu4 0.2500 0.6361 0.5605  7 O 2.39-2.49
Eu5 0.7500 0.3920 0.7802  7 O 2.35-2.53
Eu6 0.7500 0.3639 0.4395  7 O 2.39-2.49
Eu7 0.2500 0.1361 0.9395  7 O 2.39-2.49
Eu8 0.7500 0.8639 0.0605  7 O 2.39-2.49
Ti1 0.2500 0.6803 0.8769  5 O 1.78-1.98
Ti2 0.2500 0.1803 0.6231  5 O 1.78-1.98
Ti3 0.7500 0.3197 0.1231  5 O 1.78-1.98
Ti4 0.7500 0.8197 0.3769  5 O 1.78-1.98

Computed properties:
The crystal system is orthorhombic. Its raw total energy is -306.79 eV for the cell shown. For the formation energy, the calculation gives -3.373 eV/atom.

***

No. 2
Here is a relaxed Eu2Y2O5 crystal from the Materials Project database. Energies are from PBE.

Lattice parameters (Å, degrees): 3.5366 12.0538 15.4360 67.04 90.00 90.00
Last column: nearest neighbours and their distance in Å.
Sites, in units of the cell vectors:
O1 0.4785 0.2500 0.0000  4 Eu 2.44-2.45
O2 0.4759 0.9945 0.3955  2 Y 2.27, 2 Eu 2.35-2.47
O3 0.5215 0.7500 0.0000  4 Eu 2.44-2.45
O4 0.9737 0.1273 0.2068  3 Y 2.23-2.40, 1 Eu 2.44
O5 0.9796 0.3884 0.1049  2 Y 2.26-2.27, 2 Eu 2.36-2.46
O6 0.9737 0.3727 0.7932  3 Y 2.23-2.40, 1 Eu 2.44
O7 0.5110 0.3347 0.2934  3 Y 2.23-2.42, 1 Eu 2.44
O8 0.4890 0.8347 0.2934  3 Y 2.23-2.42, 1 Eu 2.44
O9 0.0204 0.6116 0.8951  2 Y 2.26-2.27, 2 Eu 2.36-2.46
O10 0.4759 0.5055 0.6045  2 Y 2.27, 2 Eu 2.35-2.47
O11 0.0300 0.2500 0.5000  4 Eu 2.43-2.45
O12 0.0263 0.6273 0.2068  3 Y 2.23-2.40, 1 Eu 2.44
O13 0.0263 0.8727 0.7932  3 Y 2.23-2.40, 1 Eu 2.44
O14 0.5110 0.1653 0.7066  3 Y 2.23-2.42, 1 Eu 2.44
O15 0.0204 0.8884 0.1049  2 Y 2.26-2.27, 2 Eu 2.36-2.46
O16 0.5241 0.4945 0.3955  2 Y 2.27, 2 Eu 2.35-2.47
O17 0.4890 0.6653 0.7066  3 Y 2.23-2.42, 1 Eu 2.44
O18 0.9796 0.1116 0.8951  2 Y 2.26-2.27, 2 Eu 2.36-2.46
O19 0.9700 0.7500 0.5000  4 Eu 2.43-2.45
O20 0.5241 0.0055 0.6045  2 Y 2.27, 2 Eu 2.35-2.47
Eu1 0.0179 0.5988 0.0584  5 O 2.36-2.46
Eu2 0.5272 0.3421 0.5585  5 O 2.35-2.47
Eu3 0.5272 0.1579 0.4415  5 O 2.35-2.47
Eu4 0.4728 0.6579 0.4415  5 O 2.35-2.47
Eu5 0.9821 0.0988 0.0584  5 O 2.36-2.46
Eu6 0.4728 0.8421 0.5585  5 O 2.35-2.47
Eu7 0.0179 0.9012 0.9416  5 O 2.36-2.46
Eu8 0.9821 0.4012 0.9416  5 O 2.36-2.46
Y1 0.4806 0.2296 0.8238  5 O 2.23-2.40
Y2 0.9767 0.9462 0.3248  5 O 2.23-2.42
Y3 0.4806 0.2704 0.1762  5 O 2.23-2.40
Y4 0.9767 0.5538 0.6752  5 O 2.23-2.42
Y5 0.0233 0.0538 0.6752  5 O 2.23-2.42
Y6 0.5194 0.7296 0.8238  5 O 2.23-2.40
Y7 0.5194 0.7704 0.1762  5 O 2.23-2.40
Y8 0.0233 0.4462 0.3248  5 O 2.23-2.42

Computed properties:
The crystal system is monoclinic. Its raw total energy is -345.11 eV for the cell shown. The size of the total moment is 14.0 μB/f.u. For the formation energy, the calculation gives -3.503 eV/atom.

***

No. 3
Here is a relaxed EuZr4O9 crystal from the Materials Project database. Energies are from PBE.

Lattice parameters (Å, degrees): 10.0521 10.0521 10.0521 159.47 149.71 36.87
Last column: nearest neighbours and their distance in Å.
Sites, in units of the cell vectors:
O1 0.5699 0.7997 0.7702  4 Zr 2.16-2.38
O2 0.9705 0.2003 0.7702  4 Zr 2.16-2.38
O3 0.3753 0.6100 0.7653  3 Zr 2.14-2.19, 1 Eu 2.35
O4 0.1321 0.0000 0.1321  2 Zr 2.20
O5 0.0681 0.7969 0.2712  4 Zr 2.17-2.31
O6 0.4744 0.2031 0.2712  4 Zr 2.17-2.31
O7 0.6719 0.4009 0.2710  3 Zr 2.25-2.26, 1 Eu 2.48
O8 0.8702 0.5991 0.2710  3 Zr 2.25-2.26, 1 Eu 2.48
O9 0.1553 0.3900 0.7653  3 Zr 2.14-2.19, 1 Eu 2.35
Zr1 0.7218 0.6964 0.0254  8 O 2.14-2.38
Zr2 0.9152 0.8884 0.0268  7 O 2.16-2.25
Zr3 0.3290 0.3036 0.0254  8 O 2.14-2.38
Zr4 0.1384 0.1116 0.0268  7 O 2.16-2.25
Eu1 0.4657 0.5000 0.9657  6 O 2.35-2.51

Computed properties:
The crystal system is orthorhombic. Its raw total energy is -134.06 eV for the cell shown. The size of the total moment is 7.0 μB/f.u. For the formation energy, the calculation gives -3.662 eV/atom.

***

No. 4
Here is a relaxed Eu2ZrO4 crystal from the Materials Project database. Energies are from PBE.

Lattice parameters (Å, degrees): 6.9610 6.9610 6.9610 145.16 145.16 50.10
Last column: nearest neighbours and their distance in Å.
Sites, in units of the cell vectors:
Eu1 0.3529 0.3529 0.0000  1 O 2.32
Eu2 0.6471 0.6471 0.0000  1 O 2.32
Zr1 0.0000 0.0000 0.0000  6 O 2.08-2.13
O1 0.1688 0.1688 0.0000  1 Zr 2.13, 1 Eu 2.32
O2 0.8312 0.8312 0.0000  1 Zr 2.13, 1 Eu 2.32
O3 0.5000 0.0000 0.5000  2 Zr 2.08
O4 0.0000 0.5000 0.5000  2 Zr 2.08

Computed properties:
The crystal system is tetragonal. Its raw total energy is -70.10 eV for the cell shown. The size of the total moment is 14.0 μB/f.u. For the formation energy, the calculation gives -3.428 eV/atom.

***

No. 5
Here is a relaxed Eu3P crystal from the Materials Project database. Energies are from PBE.

Lattice parameters (Å, degrees): 7.0093 7.0093 5.2443 90.00 90.00 120.00
Last column: nearest neighbours and their distance in Å.
Sites, in units of the cell vectors:
Eu1 0.6406 0.8203 0.2500  4 P 3.22-3.51, 6 Eu 3.23-3.41
Eu2 0.8203 0.6406 0.7500  4 P 3.22-3.51, 6 Eu 3.23-3.41
Eu3 0.3594 0.1797 0.7500  4 P 3.22-3.51, 6 Eu 3.23-3.41
Eu4 0.8203 0.1797 0.7500  4 P 3.22-3.51, 6 Eu 3.23-3.41
Eu5 0.1797 0.3594 0.2500  4 P 3.22-3.51, 6 Eu 3.23-3.41
Eu6 0.1797 0.8203 0.2500  4 P 3.22-3.51, 6 Eu 3.23-3.41
P1 0.3333 0.6667 0.7500  12 Eu 3.22-3.51
P2 0.6667 0.3333 0.2500  12 Eu 3.22-3.51

Computed properties:
The crystal system is hexagonal. Its raw total energy is -75.83 eV for the cell shown. The size of the total moment is 22.4 μB/f.u. For the formation energy, the calculation gives -0.433 eV/atom.

***

No. 6
Here is a relaxed Eu3P4 crystal from the Materials Project database. Energies are from PBE.

Lattice parameters (Å, degrees): 11.0036 8.9311 7.5809 83.15 53.69 43.16
Last column: nearest neighbours and their distance in Å.
Sites, in units of the cell vectors:
P1 0.5844 0.2570 0.7396  1 P 2.26
P2 0.9222 0.5789 0.4093  2 P 2.26-2.37
P3 0.5104 0.8310 0.6656  1 P 2.26
P4 0.9930 0.6656 0.8310  1 P 2.26
P5 0.4190 0.7396 0.2570  1 P 2.26
P6 0.8407 0.1603 0.3278  2 P 2.26-2.37
P7 0.0897 0.4093 0.5789  2 P 2.26-2.37
P8 0.6711 0.3278 0.1603  2 P 2.26-2.37
Eu1 0.8308 0.3347 0.6723  8 P 3.02-3.12
Eu2 0.5072 0.9928 0.9928  8 P 2.99-3.14
Eu3 0.1622 0.6723 0.3347  8 P 3.02-3.12
Eu4 0.5777 0.0878 0.4192  8 P 3.02-3.12
Eu5 0.2572 0.7428 0.7428  8 P 2.99-3.14
Eu6 0.9153 0.4192 0.0878  8 P 3.02-3.12

Computed properties:
The crystal system is orthorhombic. Its raw total energy is -119.52 eV for the cell shown. For the formation energy, the calculation gives -1.048 eV/atom.

***

No. 7
Here is a relaxed EuPPd crystal from the Materials Project database. Energies are from PBE.

Lattice parameters (Å, degrees): 4.1581 4.1581 8.3952 90.00 90.00 120.00
Last column: nearest neighbours and their distance in Å.
Sites, in units of the cell vectors:
Pd1 0.6667 0.3333 0.2500  3 P 2.40
Pd2 0.3333 0.6667 0.7500  3 P 2.40
Eu1 0.0000 0.0000 0.5000  6 Pd 3.19, 6 P 3.19
Eu2 0.0000 0.0000 0.0000  6 Pd 3.19, 6 P 3.19
P1 0.6667 0.3333 0.7500  3 Pd 2.40
P2 0.3333 0.6667 0.2500  3 Pd 2.40

Computed properties:
The crystal system is hexagonal. Its raw total energy is -48.22 eV for the cell shown. For the formation energy, the calculation gives -1.087 eV/atom.

***

No. 8
Here is a relaxed EuP2Pd2 crystal from the Materials Project database. Energies are from PBE.

Lattice parameters (Å, degrees): 5.7718 5.7718 5.7718 137.39 137.39 61.84
Last column: nearest neighbours and their distance in Å.
Sites, in units of the cell vectors:
Pd1 0.7500 0.2500 0.5000  4 P 2.50
Pd2 0.2500 0.7500 0.5000  4 P 2.50
P1 0.3878 0.3878 0.0000  1 P 2.22
P2 0.6122 0.6122 0.0000  1 P 2.22
Eu1 0.0000 0.0000 0.0000  8 P 3.17, 8 Pd 3.24

Computed properties:
The crystal system is tetragonal. Its raw total energy is -35.93 eV for the cell shown. For the formation energy, the calculation gives -0.898 eV/atom.

***

No. 9
Here is a relaxed Eu2P3Pt4 crystal from the Materials Project database. Energies are from PBE.

Lattice parameters (Å, degrees): 10.0765 10.0765 10.0765 156.11 156.11 34.04
Last column: nearest neighbours and their distance in Å.
Sites, in units of the cell vectors:
Pt1 0.5002 0.0001 0.5000  4 P 2.51-2.52
Pt2 0.9998 0.4998 0.5000  4 P 2.51-2.52
Pt3 0.3049 0.3049 0.0000  3 P 2.34-2.35
Pt4 0.6951 0.6951 0.0000  3 P 2.34-2.35
Eu1 0.1292 0.1292 0.0000  6 P 3.13-3.14, 9 Pt 3.21-3.39
Eu2 0.8708 0.8708 0.0000  6 P 3.13-3.14, 9 Pt 3.21-3.39
P1 0.5731 0.5731 0.0000  5 Pt 2.35-2.52
P2 0.4269 0.4269 0.0000  5 Pt 2.35-2.52
P3 0.2500 0.7500 0.5000  4 Pt 2.34

Computed properties:
The crystal system is tetragonal. Its raw total energy is -70.06 eV for the cell shown. The size of the total moment is 13.5 μB/f.u. For the formation energy, the calculation gives -1.002 eV/atom.

***

No. 10
Here is a relaxed SrEuP2Pt2 crystal from the Materials Project database. Energies are from PBE.

Lattice parameters (Å, degrees): 4.1516 4.1516 8.8832 90.00 90.00 120.00
Last column: nearest neighbours and their distance in Å.
Sites, in units of the cell vectors:
Sr1 0.0000 0.0000 0.5000  6 Pt 3.31, 6 P 3.34
Pt1 0.3333 0.6667 0.7565  3 P 2.40
Pt2 0.6667 0.3333 0.2435  3 P 2.40
Eu1 0.0000 0.0000 0.0000  6 P 3.19, 6 Pt 3.23
P1 0.6667 0.3333 0.7625  3 Pt 2.40
P2 0.3333 0.6667 0.2375  3 Pt 2.40

Computed properties:
The crystal system is trigonal. Its raw total energy is -41.73 eV for the cell shown. The size of the total moment is 6.5 μB/f.u. For the formation energy, the calculation gives -1.135 eV/atom.

***

No. 11
Here is a relaxed Eu2ZnP3Pt7 crystal from the Materials Project database. Energies are from PBE.

Lattice parameters (Å, degrees): 13.8928 13.8928 13.8928 162.96 162.96 24.19
Last column: nearest neighbours and their distance in Å.
Sites, in units of the cell vectors:
Pt1 0.0000 0.0000 0.0000  8 Pt 2.82-2.83, 4 Zn 2.91
Pt2 0.5716 0.0716 0.5000  2 P 2.43
Pt3 0.9284 0.4284 0.5000  2 P 2.43
Pt4 0.7930 0.7930 0.0000  3 P 2.37-2.38
Pt5 0.2070 0.2070 0.0000  3 P 2.37-2.38
Pt6 0.0711 0.5711 0.5000  2 P 2.44
Pt7 0.4289 0.9289 0.5000  2 P 2.44
Eu1 0.6646 0.6646 0.0000  6 P 3.10-3.16, 8 Pt 3.13-3.27
Eu2 0.3354 0.3354 0.0000  6 P 3.10-3.16, 8 Pt 3.13-3.27
P1 0.1193 0.1193 0.0000  5 Pt 2.38-2.44
P2 0.8807 0.8807 0.0000  5 Pt 2.38-2.44
P3 0.2500 0.7500 0.5000  4 Pt 2.37
Zn1 0.5000 0.5000 0.0000  12 Pt 2.82-2.91

Computed properties:
The crystal system is tetragonal. Its raw total energy is -91.59 eV for the cell shown. The size of the total moment is 13.5 μB/f.u. For the formation energy, the calculation gives -0.852 eV/atom.

***

No. 12
Here is a relaxed Eu6P19Rh30 crystal from the Materials Project database. Energies are from PBE.

Lattice parameters (Å, degrees): 3.8586 15.6959 15.6959 120.00 90.00 90.00
Last column: nearest neighbours and their distance in Å.
Sites, in units of the cell vectors:
Rh1 0.7492 0.5383 0.0736  4 P 2.38-2.49
Rh2 0.7493 0.7379 0.5844  4 P 2.37-2.50
Rh3 0.7493 0.4156 0.1535  4 P 2.37-2.50
Rh4 0.2476 0.7722 0.7235  4 P 2.36-2.53
Rh5 0.2513 0.2621 0.4152  4 P 2.38-2.50
Rh6 0.7500 0.1270 0.9769  4 P 2.31-2.50
Rh7 0.7542 0.7244 0.9522  4 P 2.37-2.52
Rh8 0.7500 0.8499 0.8730  4 P 2.31-2.50
Rh9 0.2513 0.5848 0.8469  4 P 2.38-2.50
Rh10 0.7542 0.0478 0.7722  4 P 2.37-2.52
Rh11 0.2554 0.9772 0.8540  4 P 2.34-2.52
Rh12 0.2487 0.5722 0.2238  5 P 2.38-2.56
Rh13 0.2513 0.1531 0.7379  4 P 2.38-2.50
Rh14 0.7492 0.5353 0.4617  4 P 2.38-2.49
Rh15 0.2554 0.1460 0.1233  4 P 2.34-2.52
Rh16 0.2511 0.4650 0.5384  4 P 2.38-2.49
Rh17 0.2554 0.8767 0.0228  4 P 2.34-2.52
Rh18 0.7510 0.2236 0.6517  5 P 2.38-2.56
Rh19 0.2511 0.0734 0.5350  4 P 2.38-2.49
Rh20 0.2511 0.4616 0.9266  4 P 2.38-2.49
Rh21 0.7492 0.9264 0.4647  4 P 2.38-2.49
Rh22 0.2476 0.9513 0.2278  4 P 2.36-2.53
Rh23 0.2487 0.7762 0.3484  5 P 2.38-2.56
Rh24 0.7542 0.2278 0.2756  4 P 2.37-2.52
Rh25 0.2487 0.6516 0.4278  5 P 2.38-2.56
Rh26 0.7510 0.3483 0.5719  5 P 2.38-2.56
Rh27 0.7510 0.4281 0.7764  5 P 2.38-2.56
Rh28 0.7493 0.8465 0.2621  4 P 2.37-2.50
Rh29 0.2476 0.2765 0.0487  4 P 2.36-2.53
Rh30 0.7500 0.0231 0.1501  4 P 2.31-2.50
P1 0.2505 0.4507 0.6827  6 Rh 2.38-2.56
P2 0.7540 0.2564 0.1392  7 Rh 2.33-2.53
P3 0.2484 0.1384 0.8824  7 Rh 2.34-2.52
P4 0.7512 0.0620 0.6291  7 Rh 2.37-2.50
P5 0.2505 0.2319 0.5493  6 Rh 2.38-2.56
P6 0.7494 0.5493 0.3174  6 Rh 2.37-2.56
P7 0.7512 0.5671 0.9380  7 Rh 2.37-2.50
P8 0.5670 0.0000 0.0000  6 Rh 2.31-2.45
P9 0.7540 0.8608 0.1171  7 Rh 2.33-2.53
P10 0.7512 0.3709 0.4329  7 Rh 2.37-2.50
P11 0.7494 0.6826 0.2318  6 Rh 2.37-2.56
P12 0.2494 0.6291 0.5669  7 Rh 2.36-2.50
P13 0.2494 0.9378 0.3709  7 Rh 2.36-2.50
P14 0.2484 0.1176 0.2560  7 Rh 2.34-2.52
P15 0.2484 0.7440 0.8616  7 Rh 2.34-2.52
P16 0.7494 0.7682 0.4507  6 Rh 2.37-2.56
P17 0.7540 0.8829 0.7436  7 Rh 2.33-2.53
P18 0.2505 0.3173 0.7681  6 Rh 2.38-2.56
P19 0.2494 0.4331 0.0622  7 Rh 2.36-2.50
Eu1 0.2503 0.3932 0.2959  6 P 3.00-3.04, 6 Rh 3.10-3.13
Eu2 0.2503 0.7041 0.0973  6 P 3.00-3.04, 6 Rh 3.10-3.13
Eu3 0.7498 0.6060 0.7038  6 P 2.99-3.04, 6 Rh 3.10-3.14
Eu4 0.7498 0.2962 0.9022  6 P 2.99-3.04, 6 Rh 3.10-3.14
Eu5 0.2503 0.9027 0.6068  6 P 3.00-3.04, 6 Rh 3.10-3.13
Eu6 0.7498 0.0978 0.3940  6 P 2.99-3.04, 6 Rh 3.10-3.14

Computed properties:
The crystal system is trigonal. Its raw total energy is -433.95 eV for the cell shown. The size of the total moment is 41.0 μB/f.u. For the formation energy, the calculation gives -0.884 eV/atom.

***

Q: Which formula does entry 1 have?
A: Eu2TiO5

***

Q: Among the records above, which one has the lowest raw total energy?
A: Eu6P19Rh30

***

Q: Which value of raw total energy does entry 6 give?
A: -119.52 eV for the cell shown